Here is a geometry-optimized CrF5 structure from Materials Project. Energies are from PBE+U.

Output
calculated formation energy	-2.003	eV per atom
corrected total energy (MP2020 scheme)	-0.191	hartree per atom
SG	Immm (71)

abc: 5.8154 5.8154 5.8154
angles: 149.82 97.92 89.87
Closest atoms and distances in Å follow each position.
Fractional coordinates of all 6 atoms:
F: 0.2151 0.2151 0.0000  1 Cr 1.77
F: 0.1597 0.5000 0.6597  2 Cr 1.94
F: 0.7849 0.7849 0.0000  1 Cr 1.77
F: 0.8403 0.5000 0.3403  2 Cr 1.94
Cr: 0.0000 0.0000 0.0000  6 F 1.77-1.94
F: 0.5000 0.0000 0.5000  10 F 2.79-3.03